[1]
{"formula": "KSrNdSeO6", "functional": "GGA-PBE", "state": "relaxed", "energy_ev_per_cell": -60.494, "m_tot_mub_per_cell": 0.0, "cell": [[4.272, -0.348, -3.982], [-1.324, -0.330, -5.689], [1.090, 4.540, -3.525]], "species": ["Nd", "Se", "K", "O", "O", "O", "Sr", "O", "O", "O"], "fractional_positions": [[0.000, 0.000, 0.000], [0.500, 0.500, 0.500], [0.750, 0.750, 0.750], [0.278, 0.722, 0.722], [0.278, 0.278, 0.722], [0.722, 0.722, 0.278], [0.250, 0.250, 0.250], [0.722, 0.278, 0.278], [0.278, 0.722, 0.278], [0.722, 0.278, 0.722]]}

---

[2]
{"formula": "K3NdSi7O17", "functional": "GGA-PBE", "state": "relaxed", "energy_ev_per_cell": -830.795, "m_tot_mub_per_cell": 0.4, "cell": [[8.184, -14.175, 0.000], [8.184, 14.175, 0.000], [0.000, 0.000, 7.280]], "species": ["O", "O", "Si", "O", "Si", "O", "O", "O", "O", "K", "O", "O", "K", "O", "O", "O", "K", "O", "O", "K", "Si", "Si", "O", "O", "Si", "K", "O", "Si", "O", "O", "Si", "Si", "O", "O", "O", "K", "Si", "K", "O", "Si", "K", "Si", "K", "Si", "Si", "O", "O", "O", "O", "O", "O", "O", "O", "Si", "O", "Si", "O", "O", "O", "O", "K", "Si", "O", "O", "Si", "O", "Nd", "Si", "Si", "Si", "O", "Si", "O", "O", "O", "K", "O", "O", "O", "O", "O", "Si", "Nd", "O", "O", "O", "O", "O", "Si", "O", "Si", "O", "O", "O", "O", "O", "Si", "O", "Si", "O", "O", "O", "Si", "O", "K", "O", "O", "O", "Nd", "Nd", "O", "Si"], "fractional_positions": [[0.885, 0.541, 0.918], [0.439, 0.745, 0.064], [0.156, 0.164, 0.378], [0.255, 0.694, 0.064], [0.833, 0.307, 0.326], [0.260, 0.429, 0.473], [0.667, 0.333, 0.645], [0.819, 0.889, 0.456], [0.625, 0.844, 0.127], [0.539, 0.634, 0.468], [0.831, 0.260, 0.527], [0.441, 0.229, 0.200], [0.366, 0.905, 0.468], [0.571, 0.831, 0.473], [0.541, 0.656, 0.082], [0.067, 0.621, 0.759], [0.996, 0.239, 0.122], [0.603, 0.564, 0.744], [0.169, 0.740, 0.473], [0.095, 0.461, 0.468], [0.333, 0.667, 0.133], [0.287, 0.380, 0.302], [0.564, 0.961, 0.256], [0.694, 0.439, 0.936], [0.333, 0.667, 0.576], [0.757, 0.996, 0.878], [0.379, 0.446, 0.759], [0.474, 0.167, 0.326], [0.436, 0.039, 0.744], [0.219, 0.375, 0.127], [0.164, 0.008, 0.622], [0.667, 0.333, 0.424], [0.591, 0.228, 0.353], [0.270, 0.019, 0.638], [0.844, 0.219, 0.873], [0.239, 0.243, 0.878], [0.667, 0.333, 0.867], [0.905, 0.539, 0.532], [0.621, 0.554, 0.241], [0.906, 0.287, 0.698], [0.761, 0.757, 0.122], [0.540, 0.748, 0.021], [0.004, 0.761, 0.878], [0.791, 0.540, 0.979], [0.748, 0.209, 0.979], [0.933, 0.379, 0.241], [0.251, 0.270, 0.362], [0.409, 0.772, 0.647], [0.980, 0.870, 0.184], [0.889, 0.070, 0.544], [0.740, 0.571, 0.527], [0.749, 0.730, 0.638], [0.211, 0.441, 0.800], [0.460, 0.252, 0.979], [0.745, 0.306, 0.936], [0.693, 0.526, 0.326], [0.306, 0.561, 0.064], [0.181, 0.111, 0.544], [0.156, 0.781, 0.127], [0.772, 0.363, 0.353], [0.461, 0.366, 0.532], [0.380, 0.094, 0.698], [0.020, 0.130, 0.816], [0.961, 0.397, 0.744], [0.526, 0.833, 0.674], [0.446, 0.067, 0.241], [0.000, 0.500, 0.000], [0.836, 0.992, 0.378], [0.167, 0.693, 0.674], [0.713, 0.620, 0.698], [0.019, 0.749, 0.362], [0.094, 0.713, 0.302], [0.637, 0.409, 0.353], [0.111, 0.930, 0.456], [0.781, 0.625, 0.873], [0.243, 0.004, 0.122], [0.375, 0.156, 0.873], [0.981, 0.251, 0.638], [0.930, 0.819, 0.544], [0.459, 0.344, 0.918], [0.789, 0.559, 0.200], [0.844, 0.836, 0.622], [0.500, 0.500, 0.000], [0.771, 0.211, 0.200], [0.730, 0.981, 0.362], [0.039, 0.603, 0.256], [0.559, 0.771, 0.800], [0.870, 0.889, 0.816], [0.307, 0.474, 0.674], [0.228, 0.637, 0.647], [0.620, 0.906, 0.302], [0.889, 0.020, 0.184], [0.363, 0.591, 0.647], [0.111, 0.980, 0.816], [0.561, 0.255, 0.936], [0.130, 0.111, 0.184], [0.992, 0.156, 0.622], [0.429, 0.169, 0.527], [0.252, 0.791, 0.021], [0.229, 0.789, 0.800], [0.397, 0.436, 0.256], [0.070, 0.181, 0.456], [0.209, 0.460, 0.021], [0.344, 0.885, 0.082], [0.634, 0.095, 0.532], [0.115, 0.459, 0.082], [0.333, 0.667, 0.355], [0.554, 0.933, 0.759], [0.500, 0.000, 0.000], [0.000, 0.000, 0.000], [0.656, 0.115, 0.918], [0.008, 0.844, 0.378]]}

---

[3]
{"formula": "KNd9Si6O26", "functional": "GGA-PBE", "state": "relaxed", "energy_ev_per_cell": -339.803, "m_tot_mub_per_cell": 0.0, "cell": [[-9.197, 0.726, -2.841], [6.998, -1.153, -6.549], [-0.713, -7.111, 0.490]], "species": ["Nd", "Nd", "Si", "K", "O", "Nd", "O", "O", "O", "O", "O", "Si", "Si", "Si", "O", "O", "O", "O", "O", "Nd", "O", "O", "O", "O", "O", "O", "Si", "Nd", "Nd", "O", "Nd", "Si", "O", "O", "O", "Nd", "O", "O", "O", "O", "O", "Nd"], "fractional_positions": [[0.565, 0.656, 0.255], [0.100, 0.679, 0.758], [0.700, 0.634, 0.749], [0.000, 0.000, 0.005], [0.651, 0.154, 0.254], [0.321, 0.421, 0.758], [0.247, 0.333, 0.442], [0.846, 0.497, 0.254], [0.173, 0.976, 0.736], [0.737, 0.196, 0.754], [0.219, 0.075, 0.279], [0.730, 0.036, 0.261], [0.305, 0.270, 0.261], [0.964, 0.695, 0.261], [0.333, 0.667, 0.757], [0.981, 0.422, 0.569], [0.460, 0.263, 0.754], [0.252, 0.338, 0.080], [0.578, 0.559, 0.569], [0.579, 0.900, 0.758], [0.587, 0.570, 0.939], [0.333, 0.667, 0.259], [0.803, 0.827, 0.736], [0.503, 0.349, 0.254], [0.857, 0.781, 0.279], [0.984, 0.413, 0.939], [0.366, 0.066, 0.749], [0.667, 0.333, 0.004], [0.091, 0.435, 0.255], [0.086, 0.748, 0.080], [0.000, 0.000, 0.506], [0.934, 0.300, 0.749], [0.086, 0.753, 0.442], [0.667, 0.914, 0.442], [0.024, 0.197, 0.736], [0.344, 0.909, 0.255], [0.430, 0.016, 0.939], [0.925, 0.143, 0.279], [0.441, 0.019, 0.569], [0.662, 0.914, 0.080], [0.804, 0.540, 0.754], [0.667, 0.333, 0.504]]}

---

[4]
{"formula": "K3NdSi2O7", "functional": "GGA-PBE", "state": "relaxed", "energy_ev_per_cell": -529.779, "cell": [[-4.111, 9.219, 1.187], [3.749, -2.768, -9.032], [-13.178, -5.385, -3.820]], "species": ["O", "O", "K", "O", "O", "O", "O", "O", "O", "O", "Nd", "O", "O", "Nd", "O", "K", "O", "Si", "K", "Si", "Si", "K", "O", "O", "O", "O", "O", "K", "Si", "O", "Si", "O", "K", "Nd", "O", "O", "O", "O", "Si", "O", "O", "O", "Si", "K", "Si", "K", "K", "O", "O", "O", "Si", "O", "Si", "O", "O", "K", "K", "K", "O", "O", "K", "Nd", "Nd", "K", "Si", "O", "K", "K", "Nd", "O", "O", "O", "K", "O", "O", "Si", "O", "K"], "fractional_positions": [[0.526, 0.847, 0.406], [0.847, 0.526, 0.094], [0.000, 0.000, 0.000], [0.678, 0.153, 0.406], [0.474, 0.153, 0.906], [0.599, 0.599, 0.750], [0.153, 0.474, 0.906], [0.179, 0.000, 0.645], [0.153, 0.678, 0.406], [0.322, 0.474, 0.094], [0.667, 0.333, 0.000], [0.599, 0.000, 0.250], [0.153, 0.474, 0.594], [0.000, 0.000, 0.750], [0.000, 0.401, 0.750], [0.331, 0.331, 0.589], [0.000, 0.179, 0.855], [0.660, 0.000, 0.144], [0.667, 0.333, 0.750], [0.340, 0.340, 0.144], [0.000, 0.660, 0.356], [0.331, 0.000, 0.411], [0.526, 0.678, 0.594], [0.000, 0.599, 0.250], [0.474, 0.322, 0.406], [0.526, 0.678, 0.906], [0.322, 0.847, 0.594], [0.000, 0.331, 0.089], [0.000, 0.340, 0.644], [0.678, 0.526, 0.906], [0.340, 0.000, 0.644], [0.847, 0.322, 0.594], [0.669, 0.000, 0.911], [0.333, 0.667, 0.000], [0.322, 0.847, 0.906], [0.847, 0.322, 0.906], [0.401, 0.000, 0.750], [0.153, 0.678, 0.094], [0.660, 0.660, 0.644], [0.000, 0.821, 0.145], [0.000, 0.821, 0.355], [0.322, 0.474, 0.406], [0.660, 0.000, 0.356], [0.000, 0.669, 0.911], [0.340, 0.000, 0.856], [0.331, 0.331, 0.911], [0.333, 0.667, 0.250], [0.678, 0.526, 0.594], [0.821, 0.000, 0.145], [0.821, 0.821, 0.645], [0.000, 0.340, 0.856], [0.847, 0.526, 0.406], [0.340, 0.340, 0.356], [0.474, 0.322, 0.094], [0.401, 0.401, 0.250], [0.000, 0.331, 0.411], [0.669, 0.000, 0.589], [0.333, 0.667, 0.750], [0.821, 0.821, 0.855], [0.678, 0.153, 0.094], [0.669, 0.669, 0.411], [0.667, 0.333, 0.500], [0.333, 0.667, 0.500], [0.331, 0.000, 0.089], [0.000, 0.660, 0.144], [0.179, 0.179, 0.355], [0.000, 0.669, 0.589], [0.000, 0.000, 0.500], [0.000, 0.000, 0.250], [0.000, 0.179, 0.645], [0.179, 0.179, 0.145], [0.179, 0.000, 0.855], [0.669, 0.669, 0.089], [0.526, 0.847, 0.094], [0.821, 0.000, 0.355], [0.660, 0.660, 0.856], [0.474, 0.153, 0.594], [0.667, 0.333, 0.250]]}

---

[5]
{"formula": "KNdSn4O12", "functional": "GGA-PBE", "state": "relaxed", "energy_ev_per_cell": -106.414, "m_tot_mub_per_cell": 4.0, "cell": [[0.000, -4.072, -4.096], [0.000, -4.072, 4.096], [-8.188, 0.000, 0.000]], "species": ["O", "O", "Sn", "O", "O", "Nd", "Sn", "Sn", "O", "Sn", "O", "O", "K", "O", "O", "O", "O", "O"], "fractional_positions": [[0.260, 0.259, 0.281], [0.735, 0.265, 0.742], [0.006, 0.505, 0.755], [0.741, 0.740, 0.281], [0.741, 0.740, 0.719], [0.518, 0.482, 0.500], [0.006, 0.505, 0.245], [0.495, 0.994, 0.245], [0.477, 0.983, 0.000], [0.495, 0.994, 0.755], [0.017, 0.523, 0.000], [0.735, 0.265, 0.258], [0.988, 0.012, 0.000], [0.275, 0.725, 0.698], [0.260, 0.259, 0.719], [0.516, 0.050, 0.500], [0.950, 0.484, 0.500], [0.275, 0.725, 0.302]]}

---

[6]
{"formula": "KNdSn2O6", "functional": "GGA-PBE", "state": "relaxed", "energy_ev_per_cell": -63.030, "m_tot_mub_per_cell": 0.0, "cell": [[0.000, -4.086, -4.086], [4.086, 0.000, -4.086], [4.086, -4.086, 0.000]], "species": ["O", "Sn", "K", "Nd", "O", "O", "Sn", "O", "O", "O"], "fractional_positions": [[0.500, 0.000, 0.500], [0.250, 0.250, 0.250], [0.500, 0.500, 0.500], [0.000, 0.000, 0.000], [0.000, 0.500, 0.500], [0.500, 0.500, 0.000], [0.750, 0.750, 0.750], [0.500, 0.000, 0.000], [0.000, 0.500, 0.000], [0.000, 0.000, 0.500]]}

---

[7]
{"formula": "K2Nd2Ti3O10", "functional": "GGA-PBE", "state": "relaxed", "energy_ev_per_cell": -135.541, "m_tot_mub_per_cell": 0.0, "cell": [[-9.998, 5.984, 9.758], [-12.554, 4.012, 7.562], [0.040, -2.905, 2.609]], "species": ["Ti", "O", "O", "Nd", "O", "K", "O", "O", "O", "Nd", "O", "K", "O", "Ti", "Ti", "O", "O"], "fractional_positions": [[0.011, 0.989, 0.011], [0.055, 0.945, 0.530], [0.962, 0.909, 0.091], [0.409, 0.448, 0.552], [0.198, 0.198, 0.802], [0.707, 0.709, 0.291], [0.530, 0.470, 0.055], [0.630, 0.622, 0.875], [0.802, 0.802, 0.198], [0.552, 0.591, 0.409], [0.091, 0.038, 0.962], [0.291, 0.293, 0.707], [0.378, 0.370, 0.126], [0.137, 0.142, 0.858], [0.858, 0.863, 0.137], [0.875, 0.874, 0.630], [0.126, 0.125, 0.378]]}

---

[8]
{"formula": "KNdZr2O6", "functional": "GGA-PBE", "state": "relaxed", "energy_ev_per_cell": -82.183, "m_tot_mub_per_cell": 0.0, "cell": [[0.685, -3.277, -4.868], [-3.357, -4.790, -0.833], [-4.176, 0.010, -4.180]], "species": ["O", "Zr", "O", "O", "O", "Zr", "Nd", "K", "O", "O"], "fractional_positions": [[0.000, 0.000, 0.500], [0.750, 0.750, 0.750], [0.500, 0.000, 0.000], [0.500, 0.500, 0.000], [0.000, 0.500, 0.000], [0.250, 0.250, 0.250], [0.000, 0.000, 0.000], [0.500, 0.500, 0.500], [0.000, 0.500, 0.500], [0.500, 0.000, 0.500]]}